No. 1
First-principles (PBE) data for a relaxed Eu3Si2Ni6 crystal, as listed in the Materials Project database.

Properties
For the uncorrected energy, the calculation gives -7.35 eV per atom. The crystal system is cubic.

Cell: 7.699 7.699 7.699 Å, 109.47 109.47 109.47°
Positions (direct):
1 Eu 0.000 0.283 0.283
2 Eu 0.000 0.717 0.717
3 Eu 0.283 0.000 0.283
4 Eu 0.283 0.283 0.000
5 Eu 0.717 0.000 0.717
6 Eu 0.717 0.717 0.000
7 Si 0.000 0.000 0.500
8 Si 0.000 0.500 0.000
9 Si 0.500 0.000 0.000
10 Si 0.500 0.500 0.500
11 Ni 0.000 0.329 0.671
12 Ni 0.000 0.671 0.329
13 Ni 0.329 0.000 0.671
14 Ni 0.329 0.329 0.658
15 Ni 0.329 0.658 0.329
16 Ni 0.329 0.671 0.000
17 Ni 0.342 0.671 0.671
18 Ni 0.658 0.329 0.329
19 Ni 0.671 0.000 0.329
20 Ni 0.671 0.329 0.000
21 Ni 0.671 0.342 0.671
22 Ni 0.671 0.671 0.342


No. 2
First-principles (PBE) data for a relaxed ScNbP2SO12 crystal, as listed in the Materials Project database.

Properties
For the uncorrected energy, the calculation gives -7.66 eV per atom.

Cell: 8.832 8.847 22.798 Å, 90.51 90.00 119.95°
Positions (direct):
1 O 0.969 0.167 0.593
2 O 0.633 0.136 0.428
3 O 0.307 0.459 0.469
4 O 0.974 0.792 0.803
5 O 0.181 0.981 0.906
6 O 0.818 0.792 0.303
7 O 0.364 0.863 0.862
8 O 0.974 0.176 0.304
9 O 0.491 0.359 0.138
10 O 0.534 0.695 0.259
11 O 0.158 0.693 0.471
12 O 0.202 0.026 0.304
13 O 0.034 0.824 0.698
14 O 0.688 0.539 0.242
15 O 0.800 0.981 0.406
16 O 0.834 0.301 0.528
17 O 0.531 0.833 0.759
18 O 0.197 0.167 0.093
19 O 0.353 0.488 0.073
20 O 0.686 0.155 0.740
21 O 0.466 0.314 0.740
22 O 0.200 0.029 0.592
23 O 0.641 0.126 0.136
24 O 0.162 0.695 0.759
25 O 0.828 0.029 0.092
26 O 0.467 0.301 0.028
27 O 0.851 0.539 0.742
28 O 0.966 0.803 0.094
29 O 0.636 0.500 0.926
30 O 0.868 0.359 0.638
31 O 0.020 0.821 0.406
32 O 0.514 0.647 0.573
33 O 0.308 0.842 0.971
34 O 0.500 0.634 0.862
35 O 0.468 0.155 0.240
36 O 0.867 0.362 0.926
37 O 0.535 0.842 0.471
38 O 0.201 0.176 0.804
39 O 0.535 0.693 0.971
40 O 0.165 0.196 0.695
41 O 0.701 0.158 0.031
42 O 0.518 0.873 0.075
43 O 0.135 0.488 0.573
44 O 0.698 0.529 0.529
45 O 0.864 0.500 0.426
46 O 0.495 0.362 0.426
47 O 0.170 0.469 0.261
48 O 0.498 0.863 0.362
49 O 0.355 0.873 0.575
50 O 0.185 0.206 0.408
51 O 0.800 0.968 0.695
52 O 0.133 0.647 0.073
53 O 0.300 0.469 0.761
54 O 0.367 0.491 0.364
55 O 0.457 0.158 0.531
56 O 0.167 0.968 0.195
57 O 0.824 0.026 0.804
58 O 0.302 0.833 0.259
59 O 0.031 0.196 0.195
60 O 0.641 0.509 0.638
61 O 0.021 0.206 0.908
62 O 0.790 0.824 0.198
63 O 0.848 0.314 0.240
64 O 0.134 0.634 0.362
65 O 0.868 0.509 0.138
66 O 0.152 0.459 0.969
67 O 0.832 0.529 0.029
68 O 0.802 0.821 0.906
69 O 0.836 0.803 0.594
70 O 0.503 0.136 0.928
71 O 0.124 0.491 0.864
72 O 0.485 0.126 0.636
73 P 0.332 0.952 0.918
74 P 0.619 0.952 0.418
75 P 0.383 0.338 0.084
76 P 0.289 0.005 0.251
77 P 0.716 0.005 0.751
78 P 0.286 0.285 0.751
79 P 0.050 0.672 0.418
80 P 0.666 0.618 0.584
81 P 0.999 0.285 0.251
82 P 0.956 0.338 0.584
83 P 0.622 0.672 0.918
84 P 0.953 0.618 0.084
85 Sc 0.337 0.669 0.522
86 Sc 0.999 0.003 0.356
87 Sc 0.665 0.336 0.689
88 Sc 0.332 0.669 0.022
89 Sc 0.004 0.003 0.856
90 Sc 0.670 0.336 0.189
91 S 0.002 0.713 0.750
92 S 0.711 0.713 0.250
93 S 0.378 0.047 0.584
94 S 0.335 0.380 0.417
95 S 0.045 0.380 0.917
96 S 0.669 0.047 0.084
97 Nb 0.660 0.340 0.976
98 Nb 0.993 0.006 0.643
99 Nb 0.013 0.006 0.143
100 Nb 0.346 0.673 0.810
101 Nb 0.327 0.673 0.310
102 Nb 0.680 0.340 0.476


No. 3
First-principles (PBE) data for a relaxed Na5Ca3ZrP3S3O24 crystal, as listed in the Materials Project database.

Properties
For the uncorrected energy, the calculation gives -6.61 eV per atom. The crystal system is triclinic.

Cell: 9.284 9.289 23.438 Å, 89.76 89.88 60.23°
Positions (direct):
1 Na 0.000 0.000 0.000
2 Na 0.002 0.644 0.735
3 Na 0.007 0.011 0.500
4 Na 0.013 0.692 0.083
5 Na 0.302 0.691 0.574
6 Na 0.329 0.966 0.416
7 Na 0.333 0.707 0.914
8 Na 0.346 0.304 0.658
9 Na 0.349 0.325 0.173
10 Na 0.665 0.690 0.818
11 Na 0.669 0.656 0.325
12 Na 0.680 0.303 0.089
13 Na 0.698 0.354 0.404
14 Na 0.963 0.354 0.909
15 Na 0.977 0.697 0.414
16 Ca 0.006 0.013 0.146
17 Ca 0.334 0.349 0.307
18 Ca 0.341 0.335 0.807
19 Ca 0.665 0.681 0.670
20 Ca 0.668 0.686 0.978
21 Ca 0.672 0.676 0.482
22 Ca 0.994 0.006 0.843
23 Ca 0.998 0.018 0.642
24 Ca 0.999 0.016 0.337
25 Zr 0.318 0.345 0.511
26 Zr 0.330 0.341 0.016
27 Zr 0.663 0.674 0.174
28 P 0.037 0.342 0.409
29 P 0.046 0.632 0.910
30 P 0.335 0.637 0.412
31 P 0.362 0.982 0.572
32 P 0.370 0.671 0.072
33 P 0.665 0.975 0.076
34 P 0.693 0.320 0.239
35 P 0.962 0.383 0.073
36 P 0.980 0.674 0.576
37 S 0.303 0.708 0.744
38 S 0.316 0.000 0.242
39 S 0.330 0.050 0.912
40 S 0.627 0.051 0.411
41 S 0.628 0.342 0.913
42 S 0.658 0.372 0.573
43 S 0.702 0.003 0.743
44 S 0.991 0.705 0.240
45 S 0.996 0.318 0.746
46 O 0.004 0.217 0.697
47 O 0.008 0.788 0.188
48 O 0.015 0.820 0.579
49 O 0.026 0.180 0.410
50 O 0.044 0.799 0.913
51 O 0.122 0.362 0.356
52 O 0.131 0.533 0.856
53 O 0.135 0.536 0.243
54 O 0.137 0.375 0.070
55 O 0.146 0.339 0.745
56 O 0.149 0.329 0.462
57 O 0.161 0.512 0.570
58 O 0.161 0.526 0.964
59 O 0.169 0.049 0.912
60 O 0.170 0.807 0.410
61 O 0.188 0.000 0.578
62 O 0.190 0.807 0.082
63 O 0.201 0.797 0.694
64 O 0.211 0.016 0.193
65 O 0.224 0.802 0.798
66 O 0.248 0.975 0.296
67 O 0.308 0.544 0.746
68 O 0.322 0.543 0.467
69 O 0.325 0.151 0.963
70 O 0.339 0.145 0.245
71 O 0.345 0.159 0.566
72 O 0.348 0.127 0.860
73 O 0.360 0.528 0.360
74 O 0.369 0.498 0.070
75 O 0.436 0.883 0.517
76 O 0.437 0.694 0.015
77 O 0.468 0.878 0.915
78 O 0.470 0.899 0.624
79 O 0.473 0.685 0.741
80 O 0.484 0.845 0.234
81 O 0.488 0.663 0.416
82 O 0.492 0.647 0.122
83 O 0.501 0.361 0.569
84 O 0.505 0.153 0.070
85 O 0.517 0.346 0.241
86 O 0.529 0.126 0.359
87 O 0.532 0.148 0.745
88 O 0.532 0.353 0.862
89 O 0.537 0.155 0.461
90 O 0.542 0.327 0.965
91 O 0.631 0.482 0.622
92 O 0.638 0.498 0.915
93 O 0.641 0.885 0.128
94 O 0.650 0.880 0.416
95 O 0.678 0.446 0.519
96 O 0.679 0.500 0.231
97 O 0.695 0.845 0.741
98 O 0.697 0.872 0.023
99 O 0.782 0.219 0.186
100 O 0.787 0.016 0.692
101 O 0.790 0.249 0.295
102 O 0.793 0.039 0.408
103 O 0.797 0.992 0.795
104 O 0.800 0.199 0.912
105 O 0.802 0.205 0.580
106 O 0.815 0.003 0.084
107 O 0.835 0.693 0.234
108 O 0.847 0.488 0.743
109 O 0.862 0.496 0.414
110 O 0.868 0.508 0.123
111 O 0.869 0.452 0.017
112 O 0.875 0.644 0.915
113 O 0.883 0.689 0.521
114 O 0.905 0.648 0.631
115 O 0.972 0.800 0.292
116 O 0.982 0.211 0.083
117 O 0.988 0.239 0.801


No. 4
First-principles (PBE) data for a relaxed SrMg3O4 crystal, as listed in the Materials Project database.

Properties
The crystal system is tetragonal. The calculation puts the energy above the most stable polymorph in this dataset at 558 meV/atom.

Cell: 2.792 2.792 11.258 Å, 90.00 90.00 90.00°
Positions (direct):
1 Sr 0.000 0.000 0.000
2 Mg 0.000 0.000 0.260
3 Mg 0.000 0.000 0.500
4 Mg 0.000 0.000 0.740
5 O 0.500 0.500 0.144
6 O 0.500 0.500 0.380
7 O 0.500 0.500 0.620
8 O 0.500 0.500 0.856


No. 5
First-principles (PBE) data for a relaxed Na12B26O45 crystal, as listed in the Materials Project database.

Properties
For the uncorrected energy, the calculation gives -7.34 eV per atom. The crystal system is triclinic.

Cell: 9.641 10.746 18.346 Å, 107.02 105.22 90.01°
Positions (direct):
1 Na 0.000 0.000 0.000
2 Na 0.017 0.117 0.684
3 Na 0.106 0.229 0.196
4 Na 0.127 0.856 0.348
5 Na 0.159 0.885 0.851
6 Na 0.228 0.497 0.001
7 Na 0.284 0.615 0.507
8 Na 0.314 0.728 0.195
9 Na 0.373 0.603 0.840
10 Na 0.374 0.202 0.683
11 Na 0.442 0.116 0.503
12 Na 0.444 0.358 0.348
13 Na 0.502 0.128 0.993
14 Na 0.534 0.702 0.684
15 Na 0.591 0.089 0.187
16 Na 0.658 0.630 0.339
17 Na 0.689 0.104 0.840
18 Na 0.715 0.626 0.992
19 Na 0.801 0.028 0.504
20 Na 0.816 0.593 0.187
21 Na 0.887 0.618 0.683
22 Na 0.906 0.126 0.340
23 Na 0.915 0.382 0.848
24 Na 0.928 0.524 0.502
25 B 0.014 0.736 0.135
26 B 0.028 0.828 0.471
27 B 0.051 0.294 0.581
28 B 0.062 0.810 0.608
29 B 0.070 0.966 0.205
30 B 0.099 0.405 0.365
31 B 0.115 0.072 0.507
32 B 0.140 0.274 0.465
33 B 0.150 0.197 0.902
34 B 0.150 0.451 0.718
35 B 0.188 0.536 0.291
36 B 0.199 0.660 0.682
37 B 0.227 0.340 0.829
38 B 0.234 0.763 0.988
39 B 0.268 0.904 0.725
40 B 0.282 0.910 0.546
41 B 0.303 0.991 0.059
42 B 0.328 0.037 0.291
43 B 0.329 0.133 0.823
44 B 0.330 0.459 0.642
45 B 0.346 0.235 0.134
46 B 0.359 0.465 0.205
47 B 0.457 0.854 0.982
48 B 0.473 0.696 0.053
49 B 0.488 0.413 0.546
50 B 0.488 0.905 0.365
51 B 0.490 0.338 0.897
52 B 0.515 0.527 0.128
53 B 0.535 0.958 0.642
54 B 0.549 0.775 0.464
55 B 0.583 0.369 0.199
56 B 0.592 0.105 0.359
57 B 0.618 0.573 0.506
58 B 0.630 0.838 0.897
59 B 0.666 0.328 0.470
60 B 0.667 0.888 0.285
61 B 0.678 0.403 0.723
62 B 0.704 0.159 0.681
63 B 0.718 0.632 0.822
64 B 0.749 0.355 0.983
65 B 0.755 0.795 0.580
66 B 0.768 0.308 0.607
67 B 0.789 0.950 0.717
68 B 0.806 0.198 0.055
69 B 0.826 0.840 0.829
70 B 0.839 0.028 0.129
71 B 0.841 0.390 0.285
72 B 0.841 0.870 0.200
73 B 0.976 0.697 0.902
74 B 0.978 0.265 0.988
75 B 0.982 0.492 0.060
76 B 0.992 0.606 0.360
77 O 0.015 0.960 0.459
78 O 0.028 0.374 0.650
79 O 0.054 0.161 0.568
80 O 0.058 0.614 0.102
81 O 0.060 0.394 0.031
82 O 0.065 0.530 0.412
83 O 0.067 0.173 0.948
84 O 0.079 0.688 0.620
85 O 0.085 0.350 0.527
86 O 0.086 0.623 0.307
87 O 0.105 0.671 0.947
88 O 0.118 0.838 0.166
89 O 0.144 0.313 0.884
90 O 0.145 0.425 0.789
91 O 0.147 0.593 0.728
92 O 0.149 0.143 0.454
93 O 0.151 0.919 0.664
94 O 0.178 0.328 0.414
95 O 0.189 0.808 0.495
96 O 0.194 0.061 0.251
97 O 0.196 0.425 0.317
98 O 0.196 0.892 0.032
99 O 0.244 0.106 0.878
100 O 0.248 0.212 0.777
101 O 0.258 0.038 0.551
102 O 0.269 0.113 0.101
103 O 0.273 0.337 0.165
104 O 0.280 0.558 0.250
105 O 0.286 0.784 0.736
106 O 0.287 0.406 0.692
107 O 0.301 0.583 0.639
108 O 0.316 0.784 0.934
109 O 0.329 0.705 0.048
110 O 0.344 0.925 0.316
111 O 0.360 0.008 0.774
112 O 0.373 0.410 0.881
113 O 0.382 0.523 0.141
114 O 0.408 0.880 0.595
115 O 0.409 0.382 0.594
116 O 0.435 0.974 0.045
117 O 0.446 0.122 0.306
118 O 0.457 0.830 0.415
119 O 0.473 0.203 0.873
120 O 0.490 0.250 0.140
121 O 0.500 0.443 0.253
122 O 0.519 0.540 0.551
123 O 0.529 0.309 0.495
124 O 0.531 0.643 0.453
125 O 0.536 0.902 0.936
126 O 0.545 0.765 0.021
127 O 0.551 0.609 0.088
128 O 0.560 0.081 0.637
129 O 0.570 0.030 0.411
130 O 0.571 0.823 0.309
131 O 0.620 0.455 0.156
132 O 0.624 0.403 0.938
133 O 0.624 0.702 0.872
134 O 0.629 0.905 0.693
135 O 0.636 0.509 0.772
136 O 0.665 0.850 0.526
137 O 0.670 0.283 0.734
138 O 0.670 0.459 0.459
139 O 0.672 0.230 0.399
140 O 0.676 0.024 0.304
141 O 0.701 0.266 0.022
142 O 0.713 0.320 0.240
143 O 0.732 0.910 0.881
144 O 0.734 0.417 0.662
145 O 0.741 0.662 0.567
146 O 0.750 0.818 0.239
147 O 0.753 0.713 0.777
148 O 0.761 0.956 0.157
149 O 0.764 0.111 0.090
150 O 0.765 0.187 0.620
151 O 0.789 0.319 0.538
152 O 0.803 0.093 0.728
153 O 0.835 0.475 0.047
154 O 0.842 0.285 0.935
155 O 0.845 0.874 0.650
156 O 0.853 0.526 0.305
157 O 0.858 0.605 0.876
158 O 0.867 0.925 0.790
159 O 0.875 0.751 0.140
160 O 0.945 0.207 0.049
161 O 0.950 0.730 0.399
162 O 0.961 0.325 0.310
163 O 0.963 0.814 0.885
164 O 0.974 0.822 0.539
165 O 0.977 0.943 0.253
166 O 0.985 0.022 0.142